(1)
Density functional theory data (PBE) for an optimized crystal structure of CsGeO3.

Summary:
**Total magnetic moment**: 1.0 μB/cell
**Crystal system**: cubic
**DFT formation energy**: -1.285 eV/atom
**Corrected total energy (MP2020 scheme)**: -5.357 eV/atom
**Volume**: 67.1 Å³/f.u.

Cell and atoms, written as CIF:
```
data_CsGeO3
_chemical_formula_sum 'Cs1 Ge1 O3'
_symmetry_space_group_name_H-M 'P m -3 m'
_symmetry_Int_Tables_number 221
_symmetry_space_group_name_Hall '-P 4 2 3'
_cell_length_a 4.065
_cell_length_b 4.065
_cell_length_c 4.065
_cell_angle_alpha 90.00
_cell_angle_beta 90.00
_cell_angle_gamma 90.00
loop_
_atom_site_label
_atom_site_type_symbol
_atom_site_fract_x
_atom_site_fract_y
_atom_site_fract_z
Cs1 Cs 0.000 0.000 0.000
Ge1 Ge 0.500 0.500 0.500
O1 O 0.000 0.500 0.500
```



(2)
Density functional theory data (PBE) for an optimized crystal structure of Cs10Ge2O9.

Summary:
**Total magnetic moment**: 0.0 μB/cell
**Crystal system**: monoclinic
**DFT formation energy**: -1.720 eV/atom
**Corrected total energy (MP2020 scheme)**: -4.708 eV/atom
**Volume**: 590.5 Å³/f.u.

Cell and atoms, written as CIF:
```
data_Cs10Ge2O9
_chemical_formula_sum 'Cs40 Ge8 O36'
_symmetry_space_group_name_H-M 'P 1 21/c 1'
_symmetry_Int_Tables_number 14
_cell_length_a 13.072
_cell_length_b 11.790
_cell_length_c 19.347
_cell_angle_alpha 90.00
_cell_angle_beta 127.61
_cell_angle_gamma 90.00
loop_
_symmetry_equiv_pos_as_xyz
'x,y,z'
'-x,-y,-z'
'-x,y+1/2,-z+1/2'
'x,-y+1/2,z+1/2'
loop_
_atom_site_label
_atom_site_type_symbol
_atom_site_fract_x
_atom_site_fract_y
_atom_site_fract_z
Cs1 Cs 0.038 0.181 0.418
Cs2 Cs 0.072 0.213 0.712
Cs3 Cs 0.121 0.595 0.507
Cs4 Cs 0.203 0.584 0.323
Cs5 Cs 0.249 0.638 0.964
Cs6 Cs 0.292 0.532 0.162
Cs7 Cs 0.303 0.172 0.162
Cs8 Cs 0.353 0.111 0.373
Cs9 Cs 0.367 0.659 0.753
Cs10 Cs 0.381 0.109 0.003
Ge1 Ge 0.076 0.555 0.714
Ge2 Ge 0.490 0.648 0.630
O1 O 0.052 0.678 0.977
O2 O 0.085 0.028 0.297
O3 O 0.089 0.076 0.880
O4 O 0.150 0.692 0.757
O5 O 0.169 0.020 0.187
O6 O 0.338 0.152 0.812
O7 O 0.406 0.639 0.514
O8 O 0.446 0.721 0.156
O9 O 0.450 0.525 0.666
```



(3)
Density functional theory data (PBE) for an optimized crystal structure of Cs6Ge2O7.

Summary:
**Crystal system**: monoclinic
**DFT formation energy**: -1.956 eV/atom
**Corrected total energy (MP2020 scheme)**: -5.240 eV/atom
**Volume**: 366.3 Å³/f.u.

Cell and atoms, written as CIF:
```
data_Cs6Ge2O7
_chemical_formula_sum 'Cs12 Ge4 O14'
_symmetry_space_group_name_H-M 'P 1 21/c 1'
_symmetry_Int_Tables_number 14
_cell_length_a 7.317
_cell_length_b 9.963
_cell_length_c 12.303
_cell_angle_alpha 90.00
_cell_angle_beta 125.24
_cell_angle_gamma 90.00
loop_
_symmetry_equiv_pos_as_xyz
'x,y,z'
'-x,-y,-z'
'-x,y+1/2,-z+1/2'
'x,-y+1/2,z+1/2'
loop_
_atom_site_label
_atom_site_type_symbol
_atom_site_fract_x
_atom_site_fract_y
_atom_site_fract_z
Cs1 Cs 0.028 0.146 0.413
Cs2 Cs 0.207 0.525 0.454
Cs3 Cs 0.392 0.218 0.278
Ge1 Ge 0.328 0.634 0.875
O1 O 0.085 0.657 0.872
O2 O 0.264 0.581 0.718
O3 O 0.497 0.221 0.066
O4 O 0.500 0.000 0.500
```



Q: What is the corrected total energy (MP2020 scheme) in the third record?
A: -5.240 eV/atom